1.
# TbIn7Cu5 GGA-PBE relaxed
data_TbIn7Cu5
_chemical_formula_sum 'Tb1 In7 Cu5'
_space_group_name_H-M_alt 'P 1'
_space_group_IT_number 1
_cell_length_a 7.2659
_cell_length_b 7.2659
_cell_length_c 7.2659
_cell_angle_alpha 134.32
_cell_angle_beta 98.72
_cell_angle_gamma 98.61
loop_
_space_group_symop_operation_xyz
'x,y,z'
loop_
_atom_site_label
_atom_site_fract_x
_atom_site_fract_y
_atom_site_fract_z
Tb1 0.0000 0.0000 0.0000
In1 0.2117 0.5103 0.7014
In2 0.3277 0.9872 0.3405
In3 0.3327 0.3327 0.0000
In4 0.6467 0.9872 0.6595
In5 0.6566 0.6566 0.0000
In6 0.7744 0.2744 0.5000
In7 0.8089 0.5103 0.2986
Cu1 0.0053 0.0017 0.5065
Cu2 0.0053 0.4988 0.0036
Cu3 0.2216 0.7216 0.5000
Cu4 0.4951 0.0017 0.9964
Cu5 0.4951 0.4988 0.4935
# - Space group: Imm2, No. 44
# - Electronic total energy: -3.491 eV/atom


2.
# ThInCu5 GGA-PBE relaxed
data_ThInCu5
_chemical_formula_sum 'Th4 In4 Cu20'
_space_group_name_H-M_alt 'P 1'
_space_group_IT_number 1
_cell_length_a 8.3422
_cell_length_b 5.0887
_cell_length_c 10.6423
_cell_angle_alpha 90.00
_cell_angle_beta 90.00
_cell_angle_gamma 90.00
loop_
_space_group_symop_operation_xyz
'x,y,z'
loop_
_atom_site_label
_atom_site_fract_x
_atom_site_fract_y
_atom_site_fract_z
Th1 0.2472 0.2500 0.0602
Th2 0.2528 0.7500 0.5602
Th3 0.7472 0.2500 0.4398
Th4 0.7528 0.7500 0.9398
In1 0.1387 0.7500 0.8620
In2 0.3613 0.2500 0.3620
In3 0.6387 0.7500 0.6380
In4 0.8613 0.2500 0.1380
Cu1 0.0604 0.7500 0.1062
Cu2 0.0681 0.0008 0.3125
Cu3 0.0681 0.4992 0.3125
Cu4 0.0840 0.2500 0.5163
Cu5 0.1819 0.2500 0.7446
Cu6 0.3181 0.7500 0.2446
Cu7 0.4160 0.7500 0.0163
Cu8 0.4319 0.5008 0.8125
Cu9 0.4319 0.9992 0.8125
Cu10 0.4396 0.2500 0.6062
Cu11 0.5604 0.7500 0.3938
Cu12 0.5681 0.0008 0.1875
Cu13 0.5681 0.4992 0.1875
Cu14 0.5840 0.2500 0.9837
Cu15 0.6819 0.2500 0.7554
Cu16 0.8181 0.7500 0.2554
Cu17 0.9160 0.7500 0.4837
Cu18 0.9319 0.5008 0.6875
Cu19 0.9319 0.9992 0.6875
Cu20 0.9396 0.2500 0.8938
# - Space group: Pnma, No. 62
# - Electronic total energy: -4.588 eV/atom


3.
# TmInCu4 GGA-PBE relaxed
data_TmInCu4
_chemical_formula_sum 'Tm1 In1 Cu4'
_space_group_name_H-M_alt 'P 1'
_space_group_IT_number 1
_cell_length_a 5.0864
_cell_length_b 5.0864
_cell_length_c 5.0864
_cell_angle_alpha 60.00
_cell_angle_beta 60.00
_cell_angle_gamma 60.00
loop_
_space_group_symop_operation_xyz
'x,y,z'
loop_
_atom_site_label
_atom_site_fract_x
_atom_site_fract_y
_atom_site_fract_z
Tm1 0.0000 0.0000 0.0000
In1 0.2500 0.2500 0.2500
Cu1 0.1252 0.6249 0.6249
Cu2 0.6249 0.1252 0.6249
Cu3 0.6249 0.6249 0.1252
Cu4 0.6249 0.6249 0.6249
# - Space group: F-43m, No. 216
# - Electronic total energy: -4.223 eV/atom


4.
# TmInCu2 GGA-PBE relaxed
data_TmInCu2
_chemical_formula_sum 'Tm1 In1 Cu2'
_space_group_name_H-M_alt 'P 1'
_space_group_IT_number 1
_cell_length_a 4.6542
_cell_length_b 4.6542
_cell_length_c 4.6542
_cell_angle_alpha 60.00
_cell_angle_beta 60.00
_cell_angle_gamma 60.00
loop_
_space_group_symop_operation_xyz
'x,y,z'
loop_
_atom_site_label
_atom_site_fract_x
_atom_site_fract_y
_atom_site_fract_z
Tm1 0.0000 0.0000 0.0000
In1 0.5000 0.5000 0.5000
Cu1 0.2500 0.2500 0.2500
Cu2 0.7500 0.7500 0.7500
# - Space group: Fm-3m, No. 225
# - Electronic total energy: -4.179 eV/atom


Which of these has the lowest electronic total energy?
ThInCu5


What did the third record say?
# TmInCu4 GGA-PBE relaxed
data_TmInCu4
_chemical_formula_sum 'Tm1 In1 Cu4'
_space_group_name_H-M_alt 'P 1'
_space_group_IT_number 1
_cell_length_a 5.0864
_cell_length_b 5.0864
_cell_length_c 5.0864
_cell_angle_alpha 60.00
_cell_angle_beta 60.00
_cell_angle_gamma 60.00
loop_
_space_group_symop_operation_xyz
'x,y,z'
loop_
_atom_site_label
_atom_site_fract_x
_atom_site_fract_y
_atom_site_fract_z
Tm1 0.0000 0.0000 0.0000
In1 0.2500 0.2500 0.2500
Cu1 0.1252 0.6249 0.6249
Cu2 0.6249 0.1252 0.6249
Cu3 0.6249 0.6249 0.1252
Cu4 0.6249 0.6249 0.6249
# - Space group: F-43m, No. 216
# - Electronic total energy: -4.223 eV/atom


What is the formula in the first record?
TbIn7Cu5